Gd2SbO2 | GGA-PBE | optimized geometry

Computed properties:
Density, g/cm3: 7.61
SG: Imm2 (44)
Energy relative to the elements, kcal/mol of atoms: -67.812

Cell: 7.2706 7.2706 7.2706 Å, 148.97 148.86 44.54°
Closest atoms and distances in Å follow each position.
Fractional coordinates of all 5 atoms:
Sb: 0.0000 0.9678 0.9678  8 Gd 3.49-3.57, 6 O 3.85-3.89, 4 Sb 3.89-3.90
Gd: 0.3361 0.3239 0.9878  4 O 2.26-2.27
Gd: 0.6639 0.6517 0.9878  4 O 2.26-2.27
O: 0.7502 0.2363 0.4861  4 Gd 2.26-2.27
O: 0.2498 0.7359 0.4861  4 Gd 2.26-2.27

Ba2LaCu3O6 | GGA-PBE | optimized geometry

Computed properties:
Density, g/cm3: 6.17
SG: P4/mmm (123)
Energy relative to the elements, kcal/mol of atoms: -51.273

Cell: 3.9538 3.9538 12.0517 Å, 90.00 90.00 90.00°
Closest atoms and distances in Å follow each position.
Fractional coordinates of all 12 atoms:
O: 0.0000 0.5000 0.6317  2 Cu 1.99
O: 0.0000 0.5000 0.3683  2 Cu 1.99
Cu: 0.0000 0.0000 0.6489  4 O 1.99
Ba: 0.5000 0.5000 0.1912  8 O 2.84-2.91
O: 0.5000 0.0000 0.3683  2 Cu 1.99
O: 0.5000 0.0000 0.6317  2 Cu 1.99
Cu: 0.0000 0.0000 0.0000  2 O 1.81
Ba: 0.5000 0.5000 0.8088  8 O 2.84-2.91
O: 0.0000 0.0000 0.8499  1 Cu 1.81
Cu: 0.0000 0.0000 0.3511  4 O 1.99
O: 0.0000 0.0000 0.1501  1 Cu 1.81
La: 0.5000 0.5000 0.5000  8 O 2.54

Na3TaGaSi2PO12 | GGA-PBE | optimized geometry

Computed properties:
Density, g/cm3: 3.91
Energy relative to the elements, kcal/mol of atoms: -65.038

Cell: 15.5428 26.8199 8.9578 Å, 90.00 125.16 90.00°
Closest atoms and distances in Å follow each position.
Fractional coordinates of all 240 atoms:
O: 0.0816 0.7134 0.2438  1 P 1.56
O: 0.4614 0.9410 0.9394  1 Si 1.69
O: 0.5682 0.8528 0.9274  1 P 1.58
O: 0.1466 0.8083 0.2410  1 Si 1.69
Ta: 0.1046 0.4172 0.0681  6 O 1.93-2.10
O: 0.0614 0.6899 0.9103  1 P 1.56
O: 0.7507 0.3915 0.2667  1 Si 1.60
O: 0.0608 0.9780 0.4129  1 P 1.57
O: 0.9329 0.9808 0.0673  1 P 1.52
Na: 0.9954 0.4630 0.2518  4 O 2.30-2.46
O: 0.3539 0.3833 0.0813  1 Si 1.60
O: 0.5816 0.7866 0.7438  1 P 1.56
Ga: 0.3983 0.2509 0.4442  5 O 1.91-2.06
O: 0.3478 0.6929 0.7604  1 Si 1.63
O: 0.8478 0.8071 0.2604  1 Si 1.63
O: 0.0415 0.7748 0.5572  1 Si 1.62
Si: 0.3538 0.0336 0.2499  4 O 1.59-1.69
O: 0.9618 0.7758 0.9346  1 Si 1.66
Si: 0.1453 0.2021 0.2396  4 O 1.62-1.67
O: 0.0827 0.9550 0.7436  1 P 1.56
O: 0.2539 0.3921 0.2469  1 Si 1.67
Si: 0.3549 0.6325 0.7541  4 O 1.60-1.67
O: 0.7524 0.2264 0.2365  1 Si 1.65
O: 0.0682 0.6472 0.4274  1 P 1.58
O: 0.3513 0.2864 0.5694  1 Si 1.62
Na: 0.9954 0.5370 0.7518  4 O 2.30-2.46
O: 0.6400 0.6176 0.9199  1 Si 1.69
O: 0.5608 0.5220 0.9129  1 P 1.57
O: 0.0819 0.6228 0.7438  1 P 1.60
O: 0.0608 0.0220 0.9129  1 P 1.57
Ta: 0.1066 0.0824 0.0674  6 O 1.92-2.07
O: 0.7495 0.7228 0.2586  1 Si 1.63
O: 0.6392 0.7157 0.4149  1 Si 1.67
O: 0.6476 0.6400 0.2402  1 Si 1.66
Na: 0.2526 0.0828 0.5230  5 O 2.31-2.58
Na: 0.3148 0.4798 0.2177  4 O 2.34-2.61
O: 0.6433 0.0498 0.4233  1 Si 1.69
Ga: 0.8983 0.7509 0.4442  5 O 1.91-2.06
O: 0.1392 0.2157 0.4149  1 Si 1.67
O: 0.9373 0.3545 0.5825  1 P 1.51
O: 0.4373 0.8545 0.5825  1 P 1.51
O: 0.7539 0.1079 0.7469  1 Si 1.67
O: 0.5608 0.4780 0.4129  1 P 1.57
O: 0.2532 0.4461 0.7638  1 Si 1.62
P: 0.4943 0.8451 0.2424  4 O 1.52-1.60
O: 0.9237 0.6182 0.7544  1 P 1.52
O: 0.5816 0.2134 0.2438  1 P 1.56
Na: 0.2526 0.9172 0.0230  5 O 2.31-2.58
O: 0.0401 0.5572 0.0566  1 Si 1.60
O: 0.4614 0.0590 0.4394  1 Si 1.69
O: 0.4239 0.2134 0.2552  1 P 1.55
Ta: 0.6046 0.9172 0.0681  6 O 1.93-2.10
Na: 0.9979 0.1287 0.2585  4 O 2.34-2.46
O: 0.0381 0.1096 0.5556  1 Si 1.61
Na: 0.2585 0.7464 0.5119  5 O 2.32-2.55
O: 0.5415 0.7252 0.0572  1 Si 1.62
Si: 0.6458 0.3714 0.2397  4 O 1.60-1.69
O: 0.7495 0.2772 0.7586  1 Si 1.63
O: 0.8486 0.8591 0.7574  1 Si 1.63
O: 0.9237 0.3818 0.2544  1 P 1.52
Ga: 0.3934 0.4123 0.9389  5 O 1.87-2.06
Na: 0.4958 0.2963 0.2492  6 O 2.38-2.61
Na: 0.1966 0.6910 0.7844  5 O 2.37-2.51
Na: 0.2514 0.4135 0.5215  4 O 2.28-2.55
Ga: 0.8934 0.9123 0.9389  5 O 1.87-2.06
Na: 0.2585 0.2536 0.0119  5 O 2.32-2.55
O: 0.4618 0.2758 0.9346  1 Si 1.66
O: 0.0819 0.3772 0.2438  1 P 1.60
Na: 0.7585 0.7536 0.0119  5 O 2.32-2.55
O: 0.0614 0.3101 0.4103  1 P 1.56
O: 0.8478 0.1929 0.7604  1 Si 1.63
O: 0.2539 0.6079 0.7469  1 Si 1.67
O: 0.4319 0.8156 0.0640  1 P 1.53
O: 0.2495 0.2228 0.2586  1 Si 1.63
P: 0.9943 0.3451 0.2424  4 O 1.52-1.60
O: 0.7532 0.0539 0.2638  1 Si 1.62
Si: 0.8538 0.4664 0.7499  4 O 1.59-1.69
Si: 0.1453 0.7979 0.7396  4 O 1.62-1.67
P: 0.5013 0.1793 0.2467  4 O 1.51-1.58
O: 0.7550 0.5612 0.2400  1 Si 1.66
O: 0.4237 0.1182 0.7544  1 P 1.52
P: 0.9983 0.0123 0.2396  4 O 1.52-1.57
O: 0.3478 0.3071 0.2604  1 Si 1.63
Na: 0.7514 0.0865 0.0215  4 O 2.28-2.55
Si: 0.3549 0.3675 0.2541  4 O 1.60-1.67
O: 0.5415 0.2748 0.5572  1 Si 1.62
Ga: 0.3927 0.9187 0.4359  5 O 1.88-2.03
Si: 0.3535 0.2985 0.7492  4 O 1.62-1.66
O: 0.1400 0.8824 0.4199  1 Si 1.69
Si: 0.6453 0.2979 0.7396  4 O 1.62-1.67
P: 0.9943 0.6549 0.7424  4 O 1.52-1.60
Na: 0.8148 0.9798 0.2177  4 O 2.34-2.61
O: 0.4329 0.5192 0.5673  1 P 1.52
O: 0.0816 0.2866 0.7438  1 P 1.56
Na: 0.1966 0.3090 0.2844  5 O 2.37-2.51
P: 0.4983 0.5123 0.2396  4 O 1.52-1.57
P: 0.9983 0.9877 0.7396  4 O 1.52-1.57
Na: 0.7526 0.4172 0.0230  5 O 2.31-2.58
Ga: 0.3934 0.5877 0.4389  5 O 1.87-2.06
O: 0.3486 0.6409 0.2574  1 Si 1.63
Na: 0.3148 0.5202 0.7177  4 O 2.34-2.61
Si: 0.8535 0.7985 0.7492  4 O 1.62-1.66
P: 0.0013 0.3207 0.7467  4 O 1.51-1.58
Na: 0.9958 0.7963 0.2492  6 O 2.38-2.61
Na: 0.4979 0.3713 0.7585  4 O 2.34-2.46
Si: 0.8538 0.5336 0.2499  4 O 1.59-1.69
O: 0.2524 0.2736 0.7365  1 Si 1.65
O: 0.4237 0.8818 0.2544  1 P 1.52
O: 0.4319 0.1844 0.5640  1 P 1.53
O: 0.7539 0.8921 0.2469  1 Si 1.67
O: 0.9609 0.1079 0.9407  1 Si 1.66
O: 0.8539 0.8833 0.0813  1 Si 1.60
O: 0.6466 0.6917 0.7410  1 Si 1.69
Ta: 0.6066 0.5824 0.0674  6 O 1.92-2.07
O: 0.8514 0.4739 0.2601  1 Si 1.61
Na: 0.6966 0.8090 0.2844  5 O 2.37-2.51
Ta: 0.6089 0.7477 0.5706  6 O 1.91-2.11
O: 0.9614 0.4410 0.9394  1 Si 1.69
O: 0.2495 0.7772 0.7586  1 Si 1.63
Na: 0.6966 0.1910 0.7844  5 O 2.37-2.51
O: 0.5819 0.1228 0.7438  1 P 1.60
O: 0.2507 0.1085 0.7667  1 Si 1.60
O: 0.2507 0.8915 0.2667  1 Si 1.60
O: 0.1486 0.5259 0.7428  1 Si 1.71
O: 0.8592 0.5499 0.0846  1 Si 1.59
Si: 0.1458 0.5377 0.2403  4 O 1.60-1.71
Si: 0.1458 0.4623 0.7403  4 O 1.60-1.71
O: 0.3486 0.3591 0.7574  1 Si 1.63
Ta: 0.1089 0.2477 0.5706  6 O 1.91-2.11
O: 0.1466 0.1917 0.7410  1 Si 1.69
Si: 0.6458 0.9623 0.7403  4 O 1.60-1.71
O: 0.7550 0.4388 0.7400  1 Si 1.66
O: 0.4230 0.4531 0.7493  1 P 1.54
Na: 0.8143 0.6456 0.2090  4 O 2.36-2.56
Na: 0.7526 0.5828 0.5230  5 O 2.31-2.58
O: 0.5827 0.5450 0.2436  1 P 1.56
O: 0.3592 0.0499 0.0846  1 Si 1.59
O: 0.5682 0.1472 0.4274  1 P 1.58
O: 0.4609 0.6079 0.9407  1 Si 1.66
O: 0.2550 0.0612 0.2400  1 Si 1.66
Ga: 0.3927 0.0813 0.9359  5 O 1.88-2.03
P: 0.4943 0.1549 0.7424  4 O 1.52-1.60
O: 0.1476 0.1400 0.2402  1 Si 1.66
O: 0.6466 0.3083 0.2410  1 Si 1.69
O: 0.7524 0.7736 0.7365  1 Si 1.65
Na: 0.7585 0.2464 0.5119  5 O 2.32-2.55
O: 0.5401 0.0572 0.0566  1 Si 1.60
Si: 0.8549 0.1325 0.7541  4 O 1.60-1.67
Na: 0.8143 0.3544 0.7090  4 O 2.36-2.56
O: 0.8513 0.2136 0.0694  1 Si 1.62
Ta: 0.6066 0.4176 0.5674  6 O 1.92-2.07
Si: 0.8535 0.2015 0.2492  4 O 1.62-1.66
Ta: 0.1046 0.5828 0.5681  6 O 1.93-2.10
P: 0.4983 0.4877 0.7396  4 O 1.52-1.57
O: 0.8513 0.7864 0.5694  1 Si 1.62
O: 0.0415 0.2252 0.0572  1 Si 1.62
O: 0.9319 0.6844 0.5640  1 P 1.53
O: 0.0682 0.3528 0.9274  1 P 1.58
O: 0.6486 0.0259 0.7428  1 Si 1.71
O: 0.3592 0.9501 0.5846  1 Si 1.59
O: 0.8514 0.5261 0.7601  1 Si 1.61
O: 0.1433 0.5498 0.4233  1 Si 1.69
O: 0.2550 0.9388 0.7400  1 Si 1.66
O: 0.5819 0.8772 0.2438  1 P 1.60
O: 0.1476 0.8600 0.7402  1 Si 1.66
Ga: 0.8934 0.0877 0.4389  5 O 1.87-2.06
O: 0.4230 0.5469 0.2493  1 P 1.54
O: 0.6486 0.9741 0.2428  1 Si 1.71
O: 0.1486 0.4741 0.2428  1 Si 1.71
O: 0.4609 0.3921 0.4407  1 Si 1.66
Si: 0.1458 0.1286 0.7397  4 O 1.60-1.69
Ga: 0.8927 0.5813 0.9359  5 O 1.88-2.03
O: 0.2532 0.5539 0.2638  1 Si 1.62
O: 0.9609 0.8921 0.4407  1 Si 1.66
O: 0.4373 0.1455 0.0825  1 P 1.51
O: 0.6476 0.3600 0.7402  1 Si 1.66
Ga: 0.8983 0.2491 0.9442  5 O 1.91-2.06
O: 0.7532 0.9461 0.7638  1 Si 1.62
O: 0.9239 0.7134 0.2552  1 P 1.55
O: 0.4329 0.4808 0.0673  1 P 1.52
O: 0.2524 0.7264 0.2365  1 Si 1.65
O: 0.3514 0.9739 0.2601  1 Si 1.61
Na: 0.4954 0.0370 0.7518  4 O 2.30-2.46
O: 0.1400 0.1176 0.9199  1 Si 1.69
O: 0.6400 0.3824 0.4199  1 Si 1.69
Si: 0.6453 0.7021 0.2396  4 O 1.62-1.67
O: 0.3539 0.6167 0.5813  1 Si 1.60
O: 0.9230 0.0469 0.2493  1 P 1.54
O: 0.9230 0.9531 0.7493  1 P 1.54
Ga: 0.3983 0.7491 0.9442  5 O 1.91-2.06
Ga: 0.8927 0.4187 0.4359  5 O 1.88-2.03
O: 0.0381 0.8904 0.0556  1 Si 1.61
Na: 0.3143 0.1456 0.2090  4 O 2.36-2.56
O: 0.0827 0.0450 0.2436  1 P 1.56
Si: 0.6458 0.6286 0.7397  4 O 1.60-1.69
P: 0.5013 0.8207 0.7467  4 O 1.51-1.58
O: 0.8539 0.1167 0.5813  1 Si 1.60
O: 0.5614 0.8101 0.4103  1 P 1.56
O: 0.3514 0.0261 0.7601  1 Si 1.61
Na: 0.4958 0.7037 0.7492  6 O 2.38-2.61
O: 0.9373 0.6455 0.0825  1 P 1.51
Na: 0.2514 0.5865 0.0215  4 O 2.28-2.55
O: 0.5381 0.6096 0.5556  1 Si 1.61
Na: 0.9958 0.2037 0.7492  6 O 2.38-2.61
Si: 0.3535 0.7015 0.2492  4 O 1.62-1.66
Ta: 0.6089 0.2523 0.0706  6 O 1.91-2.11
O: 0.7507 0.6085 0.7667  1 Si 1.60
O: 0.9319 0.3156 0.0640  1 P 1.53
O: 0.6433 0.9502 0.9233  1 Si 1.69
Na: 0.9979 0.8713 0.7585  4 O 2.34-2.46
O: 0.4239 0.7866 0.7552  1 P 1.55
O: 0.8486 0.1409 0.2574  1 Si 1.63
O: 0.1433 0.4502 0.9233  1 Si 1.69
O: 0.6392 0.2843 0.9149  1 Si 1.67
Si: 0.8549 0.8675 0.2541  4 O 1.60-1.67
O: 0.4618 0.7242 0.4346  1 Si 1.66
O: 0.5614 0.1899 0.9103  1 P 1.56
O: 0.3513 0.7136 0.0694  1 Si 1.62
Na: 0.3143 0.8544 0.7090  4 O 2.36-2.56
O: 0.9239 0.2866 0.7552  1 P 1.55
Ta: 0.6046 0.0828 0.5681  6 O 1.93-2.10
Ta: 0.1089 0.7523 0.0706  6 O 1.91-2.11
Na: 0.8148 0.0202 0.7177  4 O 2.34-2.61
O: 0.1392 0.7843 0.9149  1 Si 1.67
O: 0.9614 0.5590 0.4394  1 Si 1.69
Si: 0.3538 0.9664 0.7499  4 O 1.59-1.69
O: 0.5827 0.4550 0.7436  1 P 1.56
O: 0.9329 0.0192 0.5673  1 P 1.52
Si: 0.6458 0.0377 0.2403  4 O 1.60-1.71
O: 0.0401 0.4428 0.5566  1 Si 1.60
Na: 0.7514 0.9135 0.5215  4 O 2.28-2.55
P: 0.0013 0.6793 0.2467  4 O 1.51-1.58
Ta: 0.1066 0.9176 0.5674  6 O 1.92-2.07
O: 0.8592 0.4501 0.5846  1 Si 1.59
O: 0.5381 0.3904 0.0556  1 Si 1.61
Si: 0.1458 0.8714 0.2397  4 O 1.60-1.69
Na: 0.4954 0.9630 0.2518  4 O 2.30-2.46
Na: 0.4979 0.6287 0.2585  4 O 2.34-2.46
O: 0.5401 0.9428 0.5566  1 Si 1.60
O: 0.9618 0.2242 0.4346  1 Si 1.66

Results for E_tot: -55.51; -73.32; -1711.87 (in eV/cell, following the order of the records).